NaHf2Zr2P5SO24 GGA-PBE relaxed; E_form = -3.1117 eV per atom; uncorrected energy = -0.29474 Ha/atom; magnetic moment = 0.0 μB per cell
1.0
8.906 0.000 0.000
4.445 7.718 0.000
0.014 0.017 23.218
Na Hf Zr P S O
3 6 6 15 3 72
Cartesian
0.000 0.000 0.000
4.490 7.722 11.721
8.949 5.156 15.498
4.500 7.717 15.046
4.496 2.569 11.165
4.507 2.587 16.036
8.957 5.150 12.154
8.975 5.090 18.879
13.354 7.727 19.774
0.109 0.018 8.337
4.540 7.697 3.391
4.540 2.633 22.712
4.478 2.522 4.365
8.924 5.189 7.359
8.989 5.098 0.586
1.343 2.219 17.438
3.224 4.797 13.587
1.947 2.555 1.955
5.795 5.502 17.447
7.071 7.710 5.850
3.223 0.358 13.593
5.780 4.785 1.973
6.381 5.120 9.752
5.788 0.346 1.951
7.064 2.572 13.587
10.232 7.387 9.745
7.711 2.911 21.317
10.814 7.718 17.429
11.525 5.186 21.314
10.253 2.951 9.737
3.206 5.482 5.851
7.651 7.373 21.314
7.667 2.234 5.848
1.022 1.319 2.140
1.064 1.372 18.700
3.847 6.214 13.750
3.804 6.122 7.039
2.800 2.760 3.223
3.480 3.939 14.836
3.489 3.933 21.522
2.845 2.770 9.942
3.826 4.159 5.659
3.833 4.145 12.331
2.844 2.384 17.229
2.812 2.313 0.721
5.128 6.193 2.138
1.684 0.192 13.753
1.713 0.208 7.077
5.182 6.176 18.702
5.481 6.381 9.555
6.162 7.505 4.612
6.177 7.530 21.154
5.547 6.399 16.213
5.123 4.150 0.732
3.478 1.210 12.333
3.502 1.236 5.638
5.173 4.123 17.230
3.812 0.987 21.489
5.490 3.904 9.944
5.511 3.947 3.232
3.839 1.013 14.838
7.874 6.553 22.520
7.284 5.383 10.964
7.953 6.473 6.051
7.330 5.360 17.651
8.238 6.744 20.117
7.239 4.936 8.474
7.279 4.967 1.754
8.296 6.661 13.414
5.164 1.044 9.945
6.192 2.781 14.835
6.191 2.756 21.518
5.186 1.002 3.222
5.500 1.235 17.224
6.193 2.370 12.332
5.546 1.231 0.722
6.211 2.384 5.662
9.600 6.686 1.757
9.629 6.727 8.472
7.973 3.825 13.412
7.966 3.792 20.079
9.922 6.469 17.649
8.281 3.558 6.025
8.323 3.581 22.566
9.992 6.477 10.960
7.895 1.389 7.039
7.257 0.206 18.690
7.318 0.187 2.165
7.978 1.323 13.753
8.257 1.594 4.649
11.724 7.475 16.209
11.764 7.528 9.525
8.344 1.505 21.147
9.584 3.597 10.960
9.604 3.631 17.622
10.647 5.414 22.565
10.658 5.329 6.024
10.590 4.961 13.414
10.625 4.999 20.078
9.955 3.787 1.794
9.971 3.774 8.461
9.584 1.569 16.209
12.343 6.322 4.649
9.598 1.536 9.559
12.450 6.423 21.147

SmB4Rh7 GGA-PBE relaxed; E_form = -0.3328 eV per atom; uncorrected energy = -0.26637 Ha/atom; magnetic moment = 1.9 μB per cell
1.0
2.917 0.000 0.000
0.000 9.656 0.000
0.000 0.000 5.553
Sm B Rh
1 4 7
Cartesian
0.000 0.000 0.000
0.000 1.613 2.774
0.000 3.221 0.002
0.000 6.436 0.002
0.000 8.043 2.774
0.000 4.828 2.774
1.458 0.000 2.765
1.458 2.437 4.156
1.458 2.473 1.421
1.458 4.828 5.522
1.458 7.183 1.421
1.458 7.220 4.156

HfMg6CuO8 GGA-PBE relaxed; offset from the most stable computed form = 0 meV per atom; E_form = -2.7271 eV per atom; uncorrected energy = -0.23285 Ha/atom; magnetic moment = 0.8 μB per cell
1.0
4.287 0.000 0.000
0.000 4.287 0.000
0.000 0.000 8.963
Hf Mg Cu O
1 6 1 8
Cartesian
0.000 0.000 0.000
0.000 0.000 4.481
0.000 2.144 2.329
0.000 2.144 6.633
2.144 0.000 2.329
2.144 0.000 6.633
2.144 2.144 4.481
2.144 2.144 0.000
0.000 0.000 2.243
0.000 0.000 6.720
0.000 2.144 0.000
0.000 2.144 4.481
2.144 0.000 0.000
2.144 0.000 4.481
2.144 2.144 2.430
2.144 2.144 6.533

HfNi3 GGA-PBE relaxed; E_form = -0.5264 eV per atom; uncorrected energy = -0.27014 Ha/atom; magnetic moment = 0.0 μB per cell
1.0
5.266 0.000 0.000
-2.633 4.561 0.000
0.000 0.000 4.291
Hf Ni
2 6
Cartesian
0.000 3.041 1.073
2.633 1.520 3.218
0.000 1.434 3.218
-1.392 3.844 3.218
1.242 0.717 1.073
1.392 3.844 3.218
4.025 0.717 1.073
2.633 3.127 1.073

Question: Which of these has the highest E_form?
Answer: SmB4Rh7

Question: The highest uncorrected energy belongs to which entry?
Answer: HfMg6CuO8

Question: What is the uncorrected energy in the first record?
Answer: -0.29474 Ha/atom

Copy entry 4 word for word.
HfNi3 GGA-PBE relaxed; E_form = -0.5264 eV per atom; uncorrected energy = -0.27014 Ha/atom; magnetic moment = 0.0 μB per cell
1.0
5.266 0.000 0.000
-2.633 4.561 0.000
0.000 0.000 4.291
Hf Ni
2 6
Cartesian
0.000 3.041 1.073
2.633 1.520 3.218
0.000 1.434 3.218
-1.392 3.844 3.218
1.242 0.717 1.073
1.392 3.844 3.218
4.025 0.717 1.073
2.633 3.127 1.073